(1)
Here is a relaxed structure of Pm2NiPd from Materials Project. Energies are from r2SCAN.

POSCAR file:
```
Pm2NiPd
1.0
7.037 0.000 0.000
0.000 7.037 0.000
0.000 0.000 7.037
Pm Ni Pd
8 4 4
Direct
0.250 0.250 0.250 Pm
0.250 0.250 0.750 Pm
0.250 0.750 0.250 Pm
0.250 0.750 0.750 Pm
0.750 0.250 0.250 Pm
0.750 0.250 0.750 Pm
0.750 0.750 0.250 Pm
0.750 0.750 0.750 Pm
0.000 0.000 0.000 Ni
0.000 0.500 0.500 Ni
0.500 0.000 0.500 Ni
0.500 0.500 0.000 Ni
0.000 0.000 0.500 Pd
0.000 0.500 0.000 Pd
0.500 0.000 0.000 Pd
0.500 0.500 0.500 Pd
```

Computed properties:
- total DFT energy (no corrections) (eV per formula unit) = -96.01
- ΔH_f (0 K) (eV per atom) = -0.497

(2)
Here is a relaxed structure of Cs3Rb from Materials Project. Energies are from r2SCAN.

POSCAR file:
```
Cs3Rb
1.0
10.959 0.000 0.000
-5.480 9.491 0.000
0.000 0.000 8.894
Cs Rb
6 2
Direct
0.168 0.336 0.250 Cs
0.168 0.832 0.250 Cs
0.336 0.168 0.750 Cs
0.664 0.832 0.250 Cs
0.832 0.168 0.750 Cs
0.832 0.664 0.750 Cs
0.333 0.667 0.750 Rb
0.667 0.333 0.250 Rb
```

Computed properties:
- total DFT energy (no corrections) (eV per formula unit) = -89.24
- ΔH_f (0 K) (eV per atom) = 0.005

(3)
Here is a relaxed structure of K6Sn3As5 from Materials Project. Energies are from r2SCAN.

POSCAR file:
```
K6Sn3As5
1.0
10.770 0.000 0.000
0.000 14.873 0.000
0.000 0.000 10.995
K Sn As
24 12 20
Direct
0.042 0.103 0.105 K
0.042 0.397 0.105 K
0.048 0.101 0.700 K
0.048 0.399 0.700 K
0.250 0.031 0.412 K
0.250 0.250 0.901 K
0.250 0.469 0.412 K
0.250 0.750 0.417 K
0.452 0.101 0.700 K
0.452 0.399 0.700 K
0.458 0.103 0.105 K
0.458 0.397 0.105 K
0.542 0.603 0.895 K
0.542 0.897 0.895 K
0.548 0.601 0.300 K
0.548 0.899 0.300 K
0.750 0.250 0.583 K
0.750 0.531 0.588 K
0.750 0.750 0.099 K
0.750 0.969 0.588 K
0.952 0.601 0.300 K
0.952 0.899 0.300 K
0.958 0.603 0.895 K
0.958 0.897 0.895 K
0.081 0.250 0.396 Sn
0.250 0.624 0.120 Sn
0.250 0.648 0.733 Sn
0.250 0.852 0.733 Sn
0.250 0.876 0.120 Sn
0.419 0.250 0.396 Sn
0.581 0.750 0.604 Sn
0.750 0.124 0.880 Sn
0.750 0.148 0.267 Sn
0.750 0.352 0.267 Sn
0.750 0.376 0.880 Sn
0.919 0.750 0.604 Sn
0.058 0.606 0.592 As
0.058 0.894 0.592 As
0.069 0.750 0.101 As
0.250 0.250 0.218 As
0.250 0.250 0.574 As
0.250 0.524 0.910 As
0.250 0.976 0.910 As
0.431 0.750 0.101 As
0.442 0.606 0.592 As
0.442 0.894 0.592 As
0.558 0.106 0.408 As
0.558 0.394 0.408 As
0.569 0.250 0.899 As
0.750 0.024 0.090 As
0.750 0.476 0.090 As
0.750 0.750 0.426 As
0.750 0.750 0.782 As
0.931 0.250 0.899 As
0.942 0.106 0.408 As
0.942 0.394 0.408 As
```

Computed properties:
- total DFT energy (no corrections) (eV per formula unit) = -191.74
- ΔH_f (0 K) (eV per atom) = -0.561

Which value of total DFT energy (no corrections) does entry 1 give? -96.01 eV per formula unit

Which of these has the highest ΔH_f (0 K)? Cs3Rb

What did the third record say?
Here is a relaxed structure of K6Sn3As5 from Materials Project. Energies are from r2SCAN.

POSCAR file:
```
K6Sn3As5
1.0
10.770 0.000 0.000
0.000 14.873 0.000
0.000 0.000 10.995
K Sn As
24 12 20
Direct
0.042 0.103 0.105 K
0.042 0.397 0.105 K
0.048 0.101 0.700 K
0.048 0.399 0.700 K
0.250 0.031 0.412 K
0.250 0.250 0.901 K
0.250 0.469 0.412 K
0.250 0.750 0.417 K
0.452 0.101 0.700 K
0.452 0.399 0.700 K
0.458 0.103 0.105 K
0.458 0.397 0.105 K
0.542 0.603 0.895 K
0.542 0.897 0.895 K
0.548 0.601 0.300 K
0.548 0.899 0.300 K
0.750 0.250 0.583 K
0.750 0.531 0.588 K
0.750 0.750 0.099 K
0.750 0.969 0.588 K
0.952 0.601 0.300 K
0.952 0.899 0.300 K
0.958 0.603 0.895 K
0.958 0.897 0.895 K
0.081 0.250 0.396 Sn
0.250 0.624 0.120 Sn
0.250 0.648 0.733 Sn
0.250 0.852 0.733 Sn
0.250 0.876 0.120 Sn
0.419 0.250 0.396 Sn
0.581 0.750 0.604 Sn
0.750 0.124 0.880 Sn
0.750 0.148 0.267 Sn
0.750 0.352 0.267 Sn
0.750 0.376 0.880 Sn
0.919 0.750 0.604 Sn
0.058 0.606 0.592 As
0.058 0.894 0.592 As
0.069 0.750 0.101 As
0.250 0.250 0.218 As
0.250 0.250 0.574 As
0.250 0.524 0.910 As
0.250 0.976 0.910 As
0.431 0.750 0.101 As
0.442 0.606 0.592 As
0.442 0.894 0.592 As
0.558 0.106 0.408 As
0.558 0.394 0.408 As
0.569 0.250 0.899 As
0.750 0.024 0.090 As
0.750 0.476 0.090 As
0.750 0.750 0.426 As
0.750 0.750 0.782 As
0.931 0.250 0.899 As
0.942 0.106 0.408 As
0.942 0.394 0.408 As
```

Computed properties:
- total DFT energy (no corrections) (eV per formula unit) = -191.74
- ΔH_f (0 K) (eV per atom) = -0.561